Ca2Al2SiH2O8: optimized geometry, PBE-GGA.

Results
The total energy after the MP2020 corrections comes out at -217.8 eV per cell. The calculation puts the density at 2.73 g/cm³. As for the formation energy: -3041 meV per atom. The space group is I-42m, No. 121.

Cell lengths 7.7319, 7.7319, 7.7319 Å; angles 109.07, 109.07, 110.27 degrees
Sites, in units of the cell vectors:
1 Ca 0.2128 0.2128 0.7164
2 Ca 0.4965 0.4965 0.2836
3 Ca 0.5035 0.7872 0.0000
4 Ca 0.7872 0.5035 0.0000
5 Al 0.0000 0.2514 0.2514
6 Al 0.0000 0.7486 0.7486
7 Al 0.2514 0.0000 0.2514
8 Al 0.7486 0.0000 0.7486
9 Si 0.2500 0.7500 0.5000
10 Si 0.7500 0.2500 0.5000
11 H 0.1500 0.5040 0.0000
12 H 0.4960 0.4960 0.6460
13 H 0.5040 0.1500 0.0000
14 H 0.8500 0.8500 0.3540
15 O 0.0681 0.7748 0.0000
16 O 0.0697 0.5137 0.2917
17 O 0.2220 0.7779 0.7083
18 O 0.2221 0.9303 0.4440
19 O 0.2252 0.2252 0.2933
20 O 0.2723 0.4968 0.0000
21 O 0.4863 0.7780 0.5560
22 O 0.4968 0.2723 0.0000
23 O 0.5032 0.5032 0.7755
24 O 0.5137 0.0697 0.2917
25 O 0.7277 0.7277 0.2245
26 O 0.7748 0.0681 0.0000
27 O 0.7779 0.2220 0.7083
28 O 0.7780 0.4863 0.5560
29 O 0.9303 0.2221 0.4440
30 O 0.9319 0.9319 0.7067

---

MgTi2S4: optimized geometry, PBE-GGA.

Results
The total energy after the MP2020 corrections comes out at -90.4 eV per cell. The calculation puts the density at 2.97 g/cm³. As for the formation energy: -1606 meV per atom. The space group is Fd-3m, No. 227.

Cell lengths 7.3245, 7.3245, 7.3245 Å; angles 60.00, 60.00, 60.00 degrees
Sites, in units of the cell vectors:
1 Mg 0.1250 0.1250 0.1250
2 Mg 0.8750 0.8750 0.8750
3 Ti 0.0000 0.5000 0.5000
4 Ti 0.5000 0.0000 0.5000
5 Ti 0.5000 0.5000 0.0000
6 Ti 0.5000 0.5000 0.5000
7 S 0.2593 0.2593 0.2593
8 S 0.2593 0.2593 0.7222
9 S 0.2593 0.7222 0.2593
10 S 0.2778 0.7407 0.7407
11 S 0.7222 0.2593 0.2593
12 S 0.7407 0.2778 0.7407
13 S 0.7407 0.7407 0.2778
14 S 0.7407 0.7407 0.7407

---

Hf5P7Pd9: optimized geometry, PBE-GGA.

Results
The calculation puts the density at 10.36 g/cm³. As for the formation energy: -888 meV per atom. The space group is Amm2, No. 38.

Cell lengths 3.7950, 13.7255, 13.7255 Å; angles 152.40, 90.00, 90.00 degrees
Sites, in units of the cell vectors:
1 Hf 0.0000 0.0000 0.0000
2 Hf 0.0000 0.2919 0.4684
3 Hf 0.0000 0.4684 0.2919
4 Hf 0.5000 0.0048 0.5469
5 Hf 0.5000 0.5469 0.0048
6 P 0.0000 0.2785 0.8479
7 P 0.0000 0.6016 0.6016
8 P 0.0000 0.8479 0.2785
9 P 0.5000 0.0288 0.1639
10 P 0.5000 0.1639 0.0288
11 P 0.5000 0.4344 0.7217
12 P 0.5000 0.7217 0.4344
13 Pd 0.0000 0.2494 0.6425
14 Pd 0.0000 0.6425 0.2494
15 Pd 0.0000 0.6821 0.9627
16 Pd 0.0000 0.9627 0.6821
17 Pd 0.5000 0.0061 0.3203
18 Pd 0.5000 0.3203 0.0061
19 Pd 0.5000 0.3539 0.3539
20 Pd 0.5000 0.6725 0.7892
21 Pd 0.5000 0.7892 0.6725

---

Cu2SnTe3: optimized geometry, PBE-GGA.

Results
The total energy after the MP2020 corrections comes out at -23.7 eV per cell. The calculation puts the density at 5.91 g/cm³. As for the formation energy: -349 meV per atom. The space group is Imm2, No. 44.

Cell lengths 7.5542, 7.5542, 7.5542 Å; angles 146.06, 59.86, 132.26 degrees
Sites, in units of the cell vectors:
1 Cu 0.1703 0.0000 0.1703
2 Cu 0.8297 0.0000 0.8297
3 Sn 0.5267 0.0267 0.5000
4 Te 0.2200 0.2200 0.0000
5 Te 0.5990 0.2793 0.3197
6 Te 0.9596 0.2793 0.6803

---

B10H13Cl: optimized geometry, PBE-GGA.

Results
The total energy after the MP2020 corrections comes out at -466.2 eV per cell. The calculation puts the density at 1.03 g/cm³. As for the formation energy: -159 meV per atom. The space group is P2_1/c, No. 14.

Cell lengths 12.7277, 7.7044, 11.4244 Å; angles 90.00, 115.99, 90.00 degrees
Sites, in units of the cell vectors:
1 B 0.0942 0.2311 0.4160
2 B 0.0942 0.2689 0.9160
3 B 0.1456 0.1555 0.8187
4 B 0.1456 0.3445 0.3187
5 B 0.1610 0.0326 0.9544
6 B 0.1610 0.4674 0.4544
7 B 0.1710 0.1174 0.3404
8 B 0.1710 0.3826 0.8404
9 B 0.1897 0.0536 0.4927
10 B 0.1897 0.4464 0.9927
11 B 0.2727 0.0255 0.8983
12 B 0.2727 0.4745 0.3983
13 B 0.2851 0.2413 0.8515
14 B 0.2851 0.2587 0.3515
15 B 0.3131 0.0160 0.0632
16 B 0.3131 0.4840 0.5632
17 B 0.3162 0.0932 0.4669
18 B 0.3162 0.4068 0.9669
19 B 0.3841 0.1706 0.0060
20 B 0.3841 0.3294 0.5060
21 B 0.6159 0.6706 0.4940
22 B 0.6159 0.8294 0.9940
23 B 0.6838 0.5932 0.0331
24 B 0.6838 0.9068 0.5331
25 B 0.6869 0.5160 0.4368
26 B 0.6869 0.9840 0.9368
27 B 0.7149 0.7413 0.6485
28 B 0.7149 0.7587 0.1485
29 B 0.7273 0.5255 0.6017
30 B 0.7273 0.9745 0.1017
31 B 0.8103 0.5536 0.0073
32 B 0.8103 0.9464 0.5073
33 B 0.8290 0.6174 0.1596
34 B 0.8290 0.8826 0.6596
35 B 0.8390 0.5326 0.5456
36 B 0.8390 0.9674 0.0456
37 B 0.8544 0.6555 0.6813
38 B 0.8544 0.8445 0.1813
39 B 0.9058 0.7311 0.0840
40 B 0.9058 0.7689 0.5840
41 H 0.0069 0.7167 0.1105
42 H 0.0069 0.7833 0.6105
43 H 0.0715 0.1058 0.7170
44 H 0.0715 0.3942 0.2170
45 H 0.0970 0.5832 0.4488
46 H 0.0970 0.9168 0.9488
47 H 0.1254 0.0217 0.2495
48 H 0.1254 0.4783 0.7495
49 H 0.1489 0.1833 0.5400
50 H 0.1489 0.3167 0.0400
51 H 0.1635 0.5771 0.0288
52 H 0.1635 0.9229 0.5288
53 H 0.2178 0.0719 0.0785
54 H 0.2178 0.4281 0.5785
55 H 0.2908 0.5967 0.3455
56 H 0.2908 0.9033 0.8455
57 H 0.3016 0.0856 0.5752
58 H 0.3016 0.4144 0.0752
59 H 0.3283 0.2385 0.2780
60 H 0.3283 0.2615 0.7780
61 H 0.3693 0.1698 0.1125
62 H 0.3693 0.3302 0.6125
63 H 0.3830 0.5211 0.9781
64 H 0.3830 0.9789 0.4781
65 H 0.4867 0.1584 0.0404
66 H 0.4867 0.3416 0.5404
67 H 0.5133 0.6584 0.4596
68 H 0.5133 0.8416 0.9596
69 H 0.6170 0.0211 0.5219
70 H 0.6170 0.4789 0.0219
71 H 0.6307 0.6698 0.3875
72 H 0.6307 0.8302 0.8875
73 H 0.6717 0.7385 0.2220
74 H 0.6717 0.7615 0.7220
75 H 0.6984 0.5856 0.9248
76 H 0.6984 0.9144 0.4248
77 H 0.7092 0.0967 0.1545
78 H 0.7092 0.4033 0.6545
79 H 0.7822 0.5719 0.4215
80 H 0.7822 0.9281 0.9215
81 H 0.8365 0.0771 0.4712
82 H 0.8365 0.4229 0.9712
83 H 0.8511 0.6833 0.9600
84 H 0.8511 0.8167 0.4600
85 H 0.8746 0.5217 0.2505
86 H 0.8746 0.9783 0.7505
87 H 0.9030 0.0832 0.0512
88 H 0.9030 0.4168 0.5512
89 H 0.9285 0.6058 0.7830
90 H 0.9285 0.8942 0.2830
91 H 0.9931 0.2167 0.3895
92 H 0.9931 0.2833 0.8895
93 Cl 0.3829 0.6483 0.6798
94 Cl 0.3829 0.8517 0.1798
95 Cl 0.6171 0.1483 0.8202
96 Cl 0.6171 0.3517 0.3202

---

KHo2F7: optimized geometry, PBE-GGA.

Results
The total energy after the MP2020 corrections comes out at -263.5 eV per cell. The calculation puts the density at 5.84 g/cm³. As for the formation energy: -4220 meV per atom. The space group is C2/m, No. 12.

Cell lengths 8.2672, 8.2672, 12.0209 Å; angles 120.24, 120.24, 58.32 degrees
Sites, in units of the cell vectors:
1 K 0.2353 0.2353 0.1530
2 K 0.2620 0.2620 0.5192
3 K 0.7380 0.7380 0.4808
4 K 0.7647 0.7647 0.8470
5 Ho 0.2370 0.7622 0.8196
6 Ho 0.2378 0.7630 0.1804
7 Ho 0.2418 0.2418 0.8213
8 Ho 0.2592 0.7408 0.5000
9 Ho 0.7408 0.2592 0.5000
10 Ho 0.7582 0.7582 0.1787
11 Ho 0.7622 0.2370 0.8196
12 Ho 0.7630 0.2378 0.1804
13 F 0.1031 0.1031 0.2486
14 F 0.1055 0.1055 0.5875
15 F 0.1144 0.1144 0.8813
16 F 0.1185 0.6468 0.2634
17 F 0.1345 0.6642 0.5848
18 F 0.1574 0.4987 0.7614
19 F 0.1684 0.5036 0.9987
20 F 0.1790 0.8210 0.0000
21 F 0.3358 0.8655 0.4152
22 F 0.3532 0.8815 0.7366
23 F 0.3960 0.3960 0.4267
24 F 0.4964 0.8316 0.0013
25 F 0.4967 0.4967 0.7693
26 F 0.4987 0.1574 0.7614
27 F 0.5013 0.8426 0.2386
28 F 0.5033 0.5033 0.2307
29 F 0.5036 0.1684 0.9987
30 F 0.6040 0.6040 0.5733
31 F 0.6468 0.1185 0.2634
32 F 0.6642 0.1345 0.5848
33 F 0.8210 0.1790 0.0000
34 F 0.8316 0.4964 0.0013
35 F 0.8426 0.5013 0.2386
36 F 0.8655 0.3358 0.4152
37 F 0.8815 0.3532 0.7366
38 F 0.8856 0.8856 0.1187
39 F 0.8945 0.8945 0.4125
40 F 0.8969 0.8969 0.7514

---

SrCd2Ge2: optimized geometry, PBE-GGA.

Results
The calculation puts the density at 6.12 g/cm³. As for the formation energy: -311 meV per atom. The space group is I4/mmm, No. 139.

Cell lengths 6.7507, 6.7507, 6.7507 Å; angles 140.36, 140.36, 57.31 degrees
Sites, in units of the cell vectors:
1 Sr 0.0000 0.0000 0.0000
2 Cd 0.2500 0.7500 0.5000
3 Cd 0.7500 0.2500 0.5000
4 Ge 0.3919 0.3919 0.0000
5 Ge 0.6081 0.6081 0.0000

---

Ce3AlFeS7: optimized geometry, PBE-GGA.

Results
The total energy after the MP2020 corrections comes out at -163.9 eV per cell. The calculation puts the density at 4.74 g/cm³. As for the formation energy: -1914 meV per atom. The space group is P6_3, No. 173.

Cell lengths 9.9298, 9.9298, 5.9732 Å; angles 90.00, 90.00, 120.00 degrees
Sites, in units of the cell vectors:
1 Ce 0.1381 0.3653 0.0000
2 Ce 0.2272 0.8619 0.0000
3 Ce 0.3653 0.2272 0.5000
4 Ce 0.6347 0.7728 0.0000
5 Ce 0.7728 0.1381 0.5000
6 Ce 0.8619 0.6347 0.5000
7 Al 0.3333 0.6667 0.4247
8 Al 0.6667 0.3333 0.9247
9 Fe 0.0000 0.0000 0.2914
10 Fe 0.0000 0.0000 0.7914
11 S 0.0907 0.2358 0.5510
12 S 0.0956 0.5782 0.2723
13 S 0.1451 0.9093 0.5510
14 S 0.2358 0.1451 0.0510
15 S 0.3333 0.6667 0.7965
16 S 0.4218 0.5174 0.2723
17 S 0.4826 0.9044 0.2723
18 S 0.5174 0.0956 0.7723
19 S 0.5782 0.4826 0.7723
20 S 0.6667 0.3333 0.2965
21 S 0.7642 0.8549 0.5510
22 S 0.8549 0.0907 0.0510
23 S 0.9044 0.4218 0.7723
24 S 0.9093 0.7642 0.0510

---

NaGd3GeS7: optimized geometry, PBE-GGA.

Results
The total energy after the MP2020 corrections comes out at -197.7 eV per cell. The calculation puts the density at 5.12 g/cm³. As for the formation energy: -1809 meV per atom. The space group is P6_3, No. 173.

Cell lengths 10.0261, 10.0261, 5.8947 Å; angles 90.00, 90.00, 120.00 degrees
Sites, in units of the cell vectors:
1 Na 0.0000 0.0000 0.0000
2 Na 0.0000 0.0000 0.5000
3 Gd 0.1359 0.3623 0.2880
4 Gd 0.2264 0.8641 0.2880
5 Gd 0.3623 0.2264 0.7880
6 Gd 0.6377 0.7736 0.2880
7 Gd 0.7736 0.1359 0.7880
8 Gd 0.8641 0.6377 0.7880
9 Ge 0.3333 0.6667 0.8674
10 Ge 0.6667 0.3333 0.3674
11 S 0.1004 0.5799 0.0279
12 S 0.1011 0.2619 0.7446
13 S 0.1608 0.8989 0.7446
14 S 0.2619 0.1608 0.2446
15 S 0.3333 0.6667 0.4916
16 S 0.4201 0.5205 0.0279
17 S 0.4795 0.8996 0.0279
18 S 0.5205 0.1004 0.5279
19 S 0.5799 0.4795 0.5279
20 S 0.6667 0.3333 0.9916
21 S 0.7381 0.8392 0.7446
22 S 0.8392 0.1011 0.2446
23 S 0.8989 0.7381 0.2446
24 S 0.8996 0.4201 0.5279

---

Ca3Ti2O7: optimized geometry, PBE-GGA.

Results
The total energy after the MP2020 corrections comes out at -197.2 eV per cell. The calculation puts the density at 3.70 g/cm³. Its largest piezoelectric modulus is 5.881 C/m2. As for the formation energy: -3512 meV per atom. The space group is Cmc2_1, No. 36.

Cell lengths 10.1136, 10.1136, 5.5373 Å; angles 90.00, 90.00, 31.34 degrees
Sites, in units of the cell vectors:
1 Ca 0.0538 0.5709 0.4172
2 Ca 0.2464 0.7536 0.5000
3 Ca 0.4291 0.9462 0.4172
4 Ca 0.5709 0.0538 0.9172
5 Ca 0.7536 0.2464 0.0000
6 Ca 0.9462 0.4291 0.9172
7 Ti 0.1488 0.6512 0.9497
8 Ti 0.3488 0.8512 0.9497
9 Ti 0.6512 0.1488 0.4497
10 Ti 0.8512 0.3488 0.4497
11 O 0.0160 0.3795 0.4873
12 O 0.0449 0.1227 0.7582
13 O 0.1227 0.0449 0.2582
14 O 0.3244 0.6756 0.9485
15 O 0.3450 0.4282 0.6763
16 O 0.3795 0.0160 0.9873
17 O 0.4282 0.3450 0.1763
18 O 0.5718 0.6550 0.6763
19 O 0.6205 0.9840 0.4873
20 O 0.6550 0.5718 0.1763
21 O 0.6756 0.3244 0.4485
22 O 0.8773 0.9551 0.7582
23 O 0.9551 0.8773 0.2582
24 O 0.9840 0.6205 0.9873

---

SmGe2Rh2: optimized geometry, PBE-GGA.

Results
The calculation puts the density at 9.13 g/cm³. As for the formation energy: -895 meV per atom. The space group is I4/mmm, No. 139.

Cell lengths 6.0177, 6.0177, 6.0177 Å; angles 139.46, 139.46, 58.67 degrees
Sites, in units of the cell vectors:
1 Sm 0.0000 0.0000 0.0000
2 Ge 0.3770 0.3770 0.0000
3 Ge 0.6230 0.6230 0.0000
4 Rh 0.2500 0.7500 0.5000
5 Rh 0.7500 0.2500 0.5000

---

Mg6CdW: optimized geometry, PBE-GGA.

Results
The calculation puts the density at 4.52 g/cm³. The relative energy among the computed polymorphs is 0.000 eV/atom. As for the formation energy: 262 meV per atom.

Cell lengths 4.8976, 6.1905, 10.7032 Å; angles 90.00, 90.00, 90.00 degrees
Sites, in units of the cell vectors:
1 Mg 0.5000 0.2527 0.0827
2 Mg 0.5000 0.7473 0.0827
3 Mg 0.0000 0.2349 0.9122
4 Mg 0.0000 0.7651 0.9122
5 Mg 0.0000 0.5000 0.1769
6 Mg 0.0000 0.5000 0.6670
7 Mg 0.5000 0.7527 0.5827
8 Mg 0.5000 0.2473 0.5827
9 Mg 0.0000 0.7349 0.4122
10 Mg 0.0000 0.2651 0.4122
11 Mg 0.0000 0.0000 0.6769
12 Mg 0.0000 0.0000 0.1670
13 Cd 0.5000 0.5000 0.8339
14 Cd 0.5000 0.0000 0.3339
15 W 0.5000 0.5000 0.3325
16 W 0.5000 0.0000 0.8325